Entry 1:
{"formula": "ScGa", "functional": "r²SCAN", "state": "optimized geometry", "lattice_angstrom": [[2.033, -5.091, 0.000], [2.033, 5.091, 0.000], [0.000, 0.000, 3.858]], "species": ["Sc", "Sc", "Ga", "Ga"], "fractional_positions": [[0.138, 0.862, 0.750], [0.862, 0.138, 0.250], [0.419, 0.581, 0.750], [0.581, 0.419, 0.250]], "dft_energy_ev_per_atom": -12.0981, "ef_ev_per_atom": -0.68, "space_group": "No. 63"}

Entry 2:
{"formula": "K4ZnP2", "functional": "r²SCAN", "state": "optimized geometry", "lattice_angstrom": [[2.818, 1.627, 8.696], [-2.818, 1.627, 8.696], [0.000, -3.254, 8.696]], "species": ["K", "K", "K", "K", "Zn", "P", "P"], "fractional_positions": [[0.115, 0.115, 0.115], [0.291, 0.291, 0.291], [0.709, 0.709, 0.709], [0.885, 0.885, 0.885], [0.500, 0.500, 0.500], [0.416, 0.416, 0.416], [0.584, 0.584, 0.584]], "dft_energy_ev_per_atom": -7.7975, "ef_ev_per_atom": -0.51, "space_group": "No. 166"}

Entry 3:
{"formula": "NdClO", "functional": "r²SCAN", "state": "optimized geometry", "lattice_angstrom": [[4.049, 0.000, 0.000], [0.000, 4.049, 0.000], [0.000, 0.000, 6.789]], "species": ["Nd", "Nd", "Cl", "Cl", "O", "O"], "fractional_positions": [[0.250, 0.250, 0.174], [0.750, 0.750, 0.826], [0.250, 0.250, 0.628], [0.750, 0.750, 0.372], [0.250, 0.750, 0.000], [0.750, 0.250, 0.000]], "dft_energy_ev_per_atom": -17.2233, "ef_ev_per_atom": -3.38, "space_group": "No. 129"}

Entry 4:
{"formula": "TbGa3Ni", "functional": "r²SCAN", "state": "optimized geometry", "lattice_angstrom": [[2.915, -2.920, 0.000], [2.915, 2.920, 0.000], [-2.906, 0.000, 5.078]], "species": ["Tb", "Ga", "Ga", "Ga", "Ni"], "fractional_positions": [[0.000, 0.000, 0.000], [0.251, 0.750, 0.499], [0.415, 0.415, 0.830], [0.750, 0.251, 0.499], [0.641, 0.641, 0.279]], "dft_energy_ev_per_atom": -16.1497, "ef_ev_per_atom": -0.64, "space_group": "No. 8"}

Entry 5:
{"formula": "YbPrRh2", "functional": "r²SCAN", "state": "optimized geometry", "lattice_angstrom": [[0.000, 3.453, 3.453], [3.453, 0.000, 3.453], [3.453, 3.453, 0.000]], "species": ["Yb", "Pr", "Rh", "Rh"], "fractional_positions": [[0.000, 0.000, 0.000], [0.500, 0.500, 0.500], [0.250, 0.250, 0.250], [0.750, 0.750, 0.750]], "dft_energy_ev_per_atom": -29.3430, "ef_ev_per_atom": -0.79, "space_group": "No. 225"}

Entry 6:
{"formula": "Nb3ICl6", "functional": "r²SCAN", "state": "optimized geometry", "lattice_angstrom": [[12.754, 0.000, 0.000], [0.000, 12.754, 0.000], [0.000, 0.000, 12.754]], "species": ["Nb", "Nb", "Nb", "Nb", "Nb", "Nb", "Nb", "Nb", "Nb", "Nb", "Nb", "Nb", "Nb", "Nb", "Nb", "Nb", "Nb", "Nb", "Nb", "Nb", "Nb", "Nb", "Nb", "Nb", "I", "I", "I", "I", "I", "I", "I", "I", "Cl", "Cl", "Cl", "Cl", "Cl", "Cl", "Cl", "Cl", "Cl", "Cl", "Cl", "Cl", "Cl", "Cl", "Cl", "Cl", "Cl", "Cl", "Cl", "Cl", "Cl", "Cl", "Cl", "Cl", "Cl", "Cl", "Cl", "Cl", "Cl", "Cl", "Cl", "Cl", "Cl", "Cl", "Cl", "Cl", "Cl", "Cl", "Cl", "Cl", "Cl", "Cl", "Cl", "Cl", "Cl", "Cl", "Cl", "Cl"], "fractional_positions": [[0.043, 0.144, 0.560], [0.043, 0.356, 0.060], [0.060, 0.043, 0.356], [0.060, 0.457, 0.856], [0.144, 0.560, 0.043], [0.144, 0.940, 0.543], [0.356, 0.060, 0.043], [0.356, 0.440, 0.543], [0.440, 0.543, 0.356], [0.440, 0.957, 0.856], [0.457, 0.644, 0.560], [0.457, 0.856, 0.060], [0.543, 0.144, 0.940], [0.543, 0.356, 0.440], [0.560, 0.043, 0.144], [0.560, 0.457, 0.644], [0.644, 0.560, 0.457], [0.644, 0.940, 0.957], [0.856, 0.060, 0.457], [0.856, 0.440, 0.957], [0.940, 0.543, 0.144], [0.940, 0.957, 0.644], [0.957, 0.644, 0.940], [0.957, 0.856, 0.440], [0.130, 0.130, 0.130], [0.130, 0.370, 0.630], [0.370, 0.630, 0.130], [0.370, 0.870, 0.630], [0.630, 0.130, 0.370], [0.630, 0.370, 0.870], [0.870, 0.630, 0.370], [0.870, 0.870, 0.870], [0.021, 0.619, 0.758], [0.021, 0.881, 0.258], [0.100, 0.622, 0.219], [0.100, 0.878, 0.719], [0.119, 0.742, 0.979], [0.119, 0.758, 0.479], [0.122, 0.219, 0.400], [0.122, 0.281, 0.900], [0.219, 0.100, 0.622], [0.219, 0.400, 0.122], [0.242, 0.521, 0.881], [0.242, 0.979, 0.381], [0.258, 0.021, 0.881], [0.258, 0.479, 0.381], [0.281, 0.600, 0.622], [0.281, 0.900, 0.122], [0.378, 0.719, 0.400], [0.378, 0.781, 0.900], [0.381, 0.242, 0.979], [0.381, 0.258, 0.479], [0.400, 0.122, 0.219], [0.400, 0.378, 0.719], [0.479, 0.119, 0.758], [0.479, 0.381, 0.258], [0.521, 0.619, 0.742], [0.521, 0.881, 0.242], [0.600, 0.622, 0.281], [0.600, 0.878, 0.781], [0.619, 0.742, 0.521], [0.619, 0.758, 0.021], [0.622, 0.219, 0.100], [0.622, 0.281, 0.600], [0.719, 0.100, 0.878], [0.719, 0.400, 0.378], [0.742, 0.521, 0.619], [0.742, 0.979, 0.119], [0.758, 0.021, 0.619], [0.758, 0.479, 0.119], [0.781, 0.600, 0.878], [0.781, 0.900, 0.378], [0.878, 0.719, 0.100], [0.878, 0.781, 0.600], [0.881, 0.242, 0.521], [0.881, 0.258, 0.021], [0.900, 0.122, 0.281], [0.900, 0.378, 0.781], [0.979, 0.119, 0.742], [0.979, 0.381, 0.242]], "dft_energy_ev_per_atom": -14.8968, "ef_ev_per_atom": -1.33, "space_group": "No. 205"}

Question: Number 3 is which compound?
Answer: NdClO